## MgCo4O8 (PBE with a Hubbard U)

Data for MgCo4O8 after structural relaxation.

- total magnetization (μB per formula unit) = 6.0
- E (eV per atom) = -5.792
- relative energy among the computed polymorphs (meV/atom) = 60.4
- mass density (g/cm³) = 4.8
- ΔE_f (kJ per mole of atoms) = -131.6

Cell: 5.816 5.809 5.816 Å, 58.76 58.72 58.76°
Fractional coordinates of all 13 atoms:
O  0.704  0.249  0.247
O  0.288  0.755  0.755
O  0.755  0.288  0.755
Co  0.499  0.003  0.499
Co  0.878  0.878  0.878
Co  0.002  0.499  0.499
O  0.739  0.740  0.739
O  0.755  0.755  0.288
O  0.247  0.706  0.247
O  0.247  0.249  0.704
O  0.261  0.262  0.261
Co  0.499  0.499  0.002
Mg  0.121  0.123  0.121